[1]
Below is Ta6Be15Cu8 after structural relaxation, with properties calculated at the r2SCAN level.

total magnetic moment	0.00	μB/f.u.
VASP energy	-15.52	eV per atom

Cell: 10.7704 10.7704 10.7704 Å, 90.00 90.00 90.00°
Last column: nearest neighbours and their distance in Å.
Space group Fm-3m (No. 225)
Unique sites:
Ta  0.0000  0.0000  0.1923  8 Be 2.65-2.76, 4 Cu 2.73, 4 Ta 2.93
Be  0.0000  0.0000  0.5000  8 Cu 2.29
Be  0.0000  0.2500  0.2500  4 Be 2.20, 4 Cu 2.35
Be  0.1732  0.1732  0.1732  6 Be 2.20-2.34, 3 Cu 2.33
Cu  0.1228  0.1228  0.3772  7 Be 2.29-2.35

[2]
Below is HfGeSe after structural relaxation, with properties calculated at the r2SCAN level.

total magnetic moment	0.00	μB/f.u.
VASP energy	-25.50	eV per atom

Cell: 3.7003 3.7003 8.2128 Å, 90.00 90.00 90.00°
Last column: nearest neighbours and their distance in Å.
Space group P4/nmm (No. 129, origin choice 2)
Unique sites:
Hf  0.2500  0.2500  0.2397  5 Se 2.79-2.97, 4 Ge 2.83
Ge  0.2500  0.7500  0.5000  4 Ge 2.62, 4 Hf 2.83
Se  0.2500  0.2500  0.8784  5 Hf 2.79-2.97

[3]
Below is BaZnCl4 after structural relaxation, with properties calculated at the r2SCAN level.

total magnetic moment	0.00	μB/f.u.
VASP energy	-12.07	eV per atom

Cell: 6.5242 15.4584 6.8712 Å, 90.00 90.00 90.00°
Last column: nearest neighbours and their distance in Å.
Space group Pbcn (No. 60)
Unique sites:
Ba  0.0000  0.1291  0.2500  8 Cl 3.18-3.22
Zn  0.0000  0.3903  0.2500  4 Cl 2.27-2.29
Cl  0.1466  0.3000  0.0264  1 Zn 2.29
Cl  0.2470  0.0374  0.9068  1 Zn 2.27

[4]
Below is NbSe2 after structural relaxation, with properties calculated at the r2SCAN level.

total magnetic moment	0.93	μB/f.u.
VASP energy	-18.76	eV per atom

Cell: 3.5028 6.0613 38.6491 Å, 90.00 90.00 90.00°
Last column: nearest neighbours and their distance in Å.
Space group C222_1 (No. 20)
Unique sites:
Nb  0.2394  0.0007  0.0854  6 Se 2.62-2.63
Se  0.2385  0.3327  0.9577  3 Nb 2.62
Se  0.2395  0.3322  0.8711  3 Nb 2.62-2.63

[5]
Below is ZnSnP2 after structural relaxation, with properties calculated at the r2SCAN level.

total magnetic moment	0.00	μB/f.u.
excess energy over the best structure of this formula in the dataset	0.000	eV/atom
VASP energy	-13.17	eV per atom

Cell: 5.6475 5.6475 11.3243 Å, 90.00 90.00 90.00°
Last column: nearest neighbours and their distance in Å.
Space group I-42d (No. 122)
Unique sites:
Zn  0.0000  0.0000  0.0000  4 P 2.38
Sn  0.0000  0.0000  0.5000  4 P 2.52
P  0.2286  0.2500  0.1250  2 Zn 2.38, 2 Sn 2.52

[6]
Below is Sc2TiO5 after structural relaxation, with properties calculated at the r2SCAN level.

total magnetic moment	0.00	μB/f.u.
VASP energy	-11.86	eV per atom

Cell: 3.8544 10.1626 10.2611 Å, 90.00 90.00 90.00°
Last column: nearest neighbours and their distance in Å.
Space group Cmc2_1 (No. 36)
Unique sites:
Sc  0.0000  0.1372  0.0000  5 O 2.00-2.21
Sc  0.0000  0.1941  0.3126  6 O 2.04-2.22
Ti  0.0000  0.1337  0.6226  4 O 1.84-2.00
O  0.0000  0.0371  0.1824  1 Ti 1.84
O  0.0000  0.0540  0.4548  1 Ti 1.90, 2 Sc 2.00-2.04
O  0.0000  0.2285  0.8046  3 Sc 2.08-2.21, 1 Ti 2.10
O  0.0000  0.3004  0.4962  3 Sc 2.03-2.17, 1 Ti 2.13
O  0.0000  0.3149  0.1329  2 Ti 2.00, 1 Sc 2.22

[7]
Below is KInBr3 after structural relaxation, with properties calculated at the r2SCAN level.

total magnetic moment	0.00	μB/f.u.
VASP energy	-14.98	eV per atom

Cell: 11.4128 11.4128 11.4128 Å, 90.00 90.00 90.00°
Last column: nearest neighbours and their distance in Å.
Space group Fm-3m (No. 225)
Unique sites:
K  0.2500  0.2500  0.2500  12 Br 4.04
In  0.0000  0.0000  0.0000  6 Br 2.70
In  0.0000  0.0000  0.5000  6 Br 3.01
Br  0.0000  0.0000  0.2363  2 In 2.70-3.01

[8]
Below is Rb3P11 after structural relaxation, with properties calculated at the r2SCAN level.

total magnetic moment	0.00	μB/f.u.
VASP energy	-10.44	eV per atom

Cell: 10.8810 14.4399 10.8133 Å, 90.00 90.00 90.00°
Last column: nearest neighbours and their distance in Å.
Space group Pbcn (No. 60)
Unique sites:
Rb  0.0000  0.2077  0.2500  7 P 3.44-3.64
Rb  0.2280  0.4900  0.0711  7 P 3.47-3.67
P  0.0000  0.0331  0.7500  2 P 2.16
P  0.0073  0.3407  0.5137  2 P 2.15
P  0.0799  0.1325  0.8760  3 P 2.16-2.25
P  0.0807  0.3696  0.8122  3 P 2.15-2.26
P  0.0861  0.2106  0.5690  3 P 2.15-2.25
P  0.1740  0.2370  0.7541  3 P 2.25-2.26

[9]
Below is As4S5 after structural relaxation, with properties calculated at the r2SCAN level.

total magnetic moment	0.00	μB/f.u.
VASP energy	-11.15	eV per atom

Cell: 7.4151 8.3133 8.1271 Å, 90.00 101.55 90.00°
Last column: nearest neighbours and their distance in Å.
Space group P2_1/m (No. 11)
Unique sites:
As  0.0361  0.2500  0.4524  2 S 2.26
As  0.2420  0.5162  0.8897  3 S 2.25-2.27
As  0.3012  0.7500  0.5237  2 S 2.24
S  0.0400  0.0408  0.2754  2 As 2.26
S  0.2861  0.7500  0.0365  2 As 2.27
S  0.4055  0.5378  0.6856  2 As 2.24-2.25

[10]
Below is PaInPt2 after structural relaxation, with properties calculated at the r2SCAN level.

total magnetic moment	0.00	μB/f.u.
VASP energy	-51.47	eV per atom

Cell: 6.8484 6.8484 6.8484 Å, 90.00 90.00 90.00°
Last column: nearest neighbours and their distance in Å.
Space group Fm-3m (No. 225)
Unique sites:
Pa  0.0000  0.0000  0.0000  8 Pt 2.97
In  0.0000  0.0000  0.5000  8 Pt 2.97
Pt  0.2500  0.2500  0.2500  4 In 2.97, 4 Pa 2.97

[11]
Below is Ni5Sb2 after structural relaxation, with properties calculated at the r2SCAN level.

total magnetic moment	0.00	μB/f.u.
VASP energy	-16.02	eV per atom

Cell: 12.8380 5.3971 6.0765 Å, 90.00 117.87 90.00°
Last column: nearest neighbours and their distance in Å.
Space group C2/m (No. 12)
Unique sites:
Ni  0.0000  0.2494  0.0000  4 Sb 2.55-2.58, 8 Ni 2.56-2.71
Ni  0.1031  0.0000  0.4041  6 Ni 2.55-2.57, 4 Sb 2.58-2.70
Ni  0.1280  0.5000  0.8505  6 Ni 2.58-2.60, 5 Sb 2.60-2.81
Ni  0.2300  0.2492  0.2586  8 Ni 2.55-2.73, 4 Sb 2.55-2.61
Sb  0.1035  0.5000  0.4011  10 Ni 2.55-2.70
Sb  0.1266  0.0000  0.8499  11 Ni 2.58-2.81

[12]
Below is Rb5Bi4 after structural relaxation, with properties calculated at the r2SCAN level.

total magnetic moment	0.00	μB/f.u.
VASP energy	-34.22	eV per atom

Cell: 13.1910 5.8255 12.0541 Å, 90.00 111.92 90.00°
Last column: nearest neighbours and their distance in Å.
Space group Cm (No. 8)
Unique sites:
Rb  0.0000  0.0000  0.0000  6 Bi 3.90-4.03, 3 Rb 4.28-4.33
Rb  0.0076  0.5000  0.3337  6 Bi 3.92-4.03, 3 Rb 4.37
Rb  0.1566  0.5000  0.7742  7 Bi 3.88-3.98, 2 Rb 4.33
Rb  0.2494  0.5000  0.1630  4 Bi 3.79
Rb  0.3550  0.5000  0.5578  7 Bi 3.89-3.98, 1 Rb 4.33
Bi  0.1504  0.0000  0.5592  2 Bi 2.98-3.02
Bi  0.2094  0.0000  0.3434  1 Bi 2.98
Bi  0.3005  0.0000  0.9892  1 Bi 2.99
Bi  0.3619  0.0000  0.7746  2 Bi 2.99-3.02